Compound: Li7Mn2Co3O12
Source: Materials Project
Functional: PBE with a Hubbard U
Structure: relaxed

MP2020-corrected energy ... -6.527 eV per atom
Crystal system ... monoclinic
Calculated density ... 4.08 g/cm3
Magnetic moment ... 8.0 μB/f.u.
E_tot ... -5.840 eV/atom
Energy of formation ... -1844 meV/atom
E above lowest polymorph ... 0.089 eV per atom

```
24
Lattice="6.2972 -1.4695 0.0000 6.2972 1.4695 0.0000 -2.7824 0.0000 11.6047" Properties=species:S:1:pos:R:3 pbc="T T T"
Li 0.0000 0.0000 0.0000
Li -1.3992 0.0000 5.9134
Li 3.2515 0.0000 3.7708
Li 3.9196 0.0000 1.0277
Li 1.8200 0.0000 9.8641
Li 6.4603 0.0000 7.8939
Li 8.0299 0.0000 1.9069
Mn 2.5591 0.0000 6.8259
Mn 11.8218 0.0000 2.8991
Co -2.0908 0.0000 8.8110
Co 7.2065 0.0000 4.8534
Co 5.9055 0.0000 10.7655
O 1.1844 0.0000 3.5308
O 1.9815 0.0000 0.4283
O -0.1312 0.0000 9.3357
O 0.6686 0.0000 6.2511
O 4.3992 0.0000 7.2590
O 5.9111 0.0000 1.7119
O 5.3260 0.0000 4.2733
O 3.9999 0.0000 10.2391
O 7.6456 0.0000 11.1208
O 9.1144 0.0000 5.5175
O 8.5199 0.0000 8.0575
O 10.0387 0.0000 2.5538
```